# 1
# LiMnP4O12

A relaxed LiMnP4O12 crystal (PBE+U, Materials Project).

Output
As for the space-group type: Pbcn, No. 60. The total moment is 24.0 μB/cell. The value obtained for the total DFT energy (no corrections) is -0.259 hartree per atom. The crystal system is orthorhombic. The value obtained for the formation energy is -57.16 kcal/mol of atoms.

a = 13.333 Å, b = 8.349 Å, c = 9.536 Å
α = 90.00°, β = 90.00°, γ = 90.00°
Fractional coordinates of all 72 atoms:
Li  0.000  0.110  0.250
Li  0.000  0.890  0.750
Li  0.500  0.390  0.750
Li  0.500  0.610  0.250
Mn  0.000  0.494  0.250
Mn  0.000  0.506  0.750
Mn  0.500  0.006  0.750
Mn  0.500  0.994  0.250
P  0.140  0.322  0.005
P  0.140  0.678  0.505
P  0.152  0.037  0.510
P  0.152  0.963  0.010
P  0.348  0.463  0.010
P  0.348  0.537  0.510
P  0.360  0.178  0.505
P  0.360  0.822  0.005
P  0.640  0.178  0.995
P  0.640  0.822  0.495
P  0.652  0.463  0.490
P  0.652  0.537  0.990
P  0.848  0.037  0.990
P  0.848  0.963  0.490
P  0.860  0.322  0.495
P  0.860  0.678  0.995
O  0.067  0.320  0.125
O  0.067  0.680  0.625
O  0.080  0.046  0.630
O  0.080  0.954  0.130
O  0.109  0.402  0.871
O  0.109  0.598  0.371
O  0.123  0.128  0.380
O  0.123  0.872  0.880
O  0.178  0.146  0.969
O  0.178  0.854  0.469
O  0.240  0.405  0.067
O  0.240  0.595  0.567
O  0.260  0.095  0.567
O  0.260  0.905  0.067
O  0.322  0.354  0.469
O  0.322  0.646  0.969
O  0.377  0.372  0.880
O  0.377  0.628  0.380
O  0.391  0.098  0.371
O  0.391  0.902  0.871
O  0.420  0.454  0.130
O  0.420  0.546  0.630
O  0.433  0.180  0.625
O  0.433  0.820  0.125
O  0.567  0.180  0.875
O  0.567  0.820  0.375
O  0.580  0.454  0.370
O  0.580  0.546  0.870
O  0.609  0.098  0.129
O  0.609  0.902  0.629
O  0.623  0.372  0.620
O  0.623  0.628  0.120
O  0.678  0.354  0.031
O  0.678  0.646  0.531
O  0.740  0.095  0.933
O  0.740  0.905  0.433
O  0.760  0.405  0.433
O  0.760  0.595  0.933
O  0.822  0.146  0.531
O  0.822  0.854  0.031
O  0.877  0.128  0.120
O  0.877  0.872  0.620
O  0.891  0.402  0.629
O  0.891  0.598  0.129
O  0.920  0.046  0.870
O  0.920  0.954  0.370
O  0.933  0.320  0.375
O  0.933  0.680  0.875

=====

# 2
# KCa2Mg2V3O12

A relaxed KCa2Mg2V3O12 crystal (PBE+U, Materials Project).

Output
As for the space-group type: I4_1/acd, No. 142. The total moment is 0.0 μB/cell. The value obtained for the total DFT energy (no corrections) is -0.254 hartree per atom. The crystal system is tetragonal. The value obtained for the formation energy is -65.50 kcal/mol of atoms.

a = 11.033 Å, b = 11.033 Å, c = 11.033 Å
α = 110.27°, β = 110.27°, γ = 107.88°
Fractional coordinates of all 80 atoms:
K  0.125  0.375  0.750
K  0.375  0.125  0.250
K  0.625  0.875  0.750
K  0.875  0.625  0.250
Ca  0.127  0.250  0.377
Ca  0.250  0.373  0.123
Ca  0.250  0.873  0.623
Ca  0.373  0.750  0.123
Ca  0.627  0.250  0.877
Ca  0.750  0.127  0.377
Ca  0.750  0.627  0.877
Ca  0.873  0.750  0.623
Mg  0.000  0.000  0.000
Mg  0.000  0.000  0.500
Mg  0.000  0.500  0.000
Mg  0.000  0.500  0.500
Mg  0.500  0.000  0.000
Mg  0.500  0.000  0.500
Mg  0.500  0.500  0.000
Mg  0.500  0.500  0.500
V  0.124  0.750  0.874
V  0.125  0.875  0.250
V  0.250  0.124  0.874
V  0.250  0.624  0.374
V  0.375  0.625  0.750
V  0.376  0.250  0.626
V  0.624  0.750  0.374
V  0.625  0.375  0.250
V  0.750  0.376  0.626
V  0.750  0.876  0.126
V  0.875  0.125  0.750
V  0.876  0.250  0.126
O  0.010  0.302  0.903
O  0.014  0.203  0.121
O  0.082  0.703  0.689
O  0.100  0.893  0.403
O  0.107  0.010  0.208
O  0.107  0.986  0.689
O  0.113  0.617  0.419
O  0.117  0.613  0.919
O  0.194  0.199  0.581
O  0.198  0.490  0.597
O  0.199  0.117  0.004
O  0.203  0.582  0.189
O  0.297  0.486  0.379
O  0.301  0.306  0.919
O  0.302  0.900  0.292
O  0.306  0.887  0.004
O  0.383  0.301  0.496
O  0.387  0.806  0.504
O  0.393  0.082  0.879
O  0.393  0.600  0.903
O  0.400  0.802  0.792
O  0.418  0.107  0.621
O  0.486  0.607  0.189
O  0.490  0.393  0.292
O  0.510  0.607  0.708
O  0.514  0.393  0.811
O  0.582  0.893  0.379
O  0.600  0.198  0.208
O  0.607  0.400  0.097
O  0.607  0.918  0.121
O  0.613  0.194  0.496
O  0.617  0.699  0.504
O  0.694  0.113  0.996
O  0.698  0.100  0.708
O  0.699  0.694  0.081
O  0.703  0.514  0.621
O  0.797  0.418  0.811
O  0.801  0.883  0.996
O  0.802  0.510  0.403
O  0.806  0.801  0.419
O  0.883  0.387  0.081
O  0.887  0.383  0.581
O  0.893  0.014  0.311
O  0.893  0.990  0.792
O  0.900  0.107  0.597
O  0.918  0.297  0.311
O  0.986  0.797  0.879
O  0.990  0.698  0.097

=====

# 3
# Li2Mg2W3O12

A relaxed Li2Mg2W3O12 crystal (PBE+U, Materials Project).

Output
As for the space-group type: Pc, No. 7. The total moment is 0.0 μB/cell. The value obtained for the total DFT energy (no corrections) is -0.251 hartree per atom. The crystal system is monoclinic. The value obtained for the formation energy is -56.21 kcal/mol of atoms.

a = 10.664 Å, b = 5.211 Å, c = 20.795 Å
α = 90.00°, β = 120.58°, γ = 90.00°
Fractional coordinates of all 76 atoms:
Li  0.000  0.003  0.000
Li  0.000  0.003  0.331
Li  0.000  0.997  0.500
Li  0.000  0.997  0.831
Li  0.096  0.495  0.600
Li  0.096  0.505  0.100
Li  0.547  0.356  0.552
Li  0.547  0.644  0.052
Mg  0.091  0.497  0.274
Mg  0.091  0.503  0.774
Mg  0.443  0.498  0.273
Mg  0.443  0.502  0.773
Mg  0.546  0.145  0.050
Mg  0.546  0.855  0.550
Mg  0.653  0.002  0.328
Mg  0.653  0.998  0.828
W  0.178  0.472  0.958
W  0.178  0.528  0.458
W  0.354  0.033  0.359
W  0.354  0.967  0.859
W  0.362  0.031  0.644
W  0.362  0.969  0.144
W  0.731  0.470  0.958
W  0.731  0.530  0.458
W  0.739  0.468  0.242
W  0.739  0.532  0.742
W  0.918  0.028  0.644
W  0.918  0.972  0.144
O  0.037  0.312  0.676
O  0.037  0.688  0.176
O  0.059  0.196  0.927
O  0.059  0.804  0.427
O  0.136  0.335  0.375
O  0.136  0.665  0.875
O  0.140  0.325  0.516
O  0.140  0.675  0.016
O  0.202  0.173  0.837
O  0.202  0.827  0.337
O  0.209  0.172  0.088
O  0.209  0.828  0.588
O  0.293  0.318  0.296
O  0.293  0.682  0.796
O  0.308  0.314  0.676
O  0.308  0.686  0.176
O  0.371  0.387  0.007
O  0.371  0.613  0.507
O  0.454  0.102  0.457
O  0.454  0.898  0.957
O  0.460  0.102  0.596
O  0.460  0.898  0.096
O  0.470  0.166  0.837
O  0.470  0.834  0.337
O  0.481  0.168  0.227
O  0.481  0.832  0.727
O  0.610  0.330  0.374
O  0.610  0.670  0.874
O  0.622  0.330  0.764
O  0.622  0.670  0.264
O  0.634  0.389  0.006
O  0.634  0.611  0.506
O  0.640  0.383  0.145
O  0.640  0.617  0.645
O  0.723  0.100  0.595
O  0.723  0.900  0.095
O  0.785  0.189  0.925
O  0.785  0.811  0.425
O  0.796  0.190  0.305
O  0.796  0.810  0.805
O  0.884  0.329  0.515
O  0.884  0.671  0.015
O  0.896  0.339  0.762
O  0.896  0.661  0.262
O  0.956  0.171  0.086
O  0.956  0.829  0.586
O  0.963  0.174  0.225
O  0.963  0.826  0.725

=====

# 4
# LiCo2OF3

A relaxed LiCo2OF3 crystal (PBE+U, Materials Project).

Output
As for the space-group type: P4_3, No. 78. The total moment is 24.0 μB/cell. The value obtained for the total DFT energy (no corrections) is -0.193 hartree per atom. The crystal system is tetragonal. The value obtained for the formation energy is -50.50 kcal/mol of atoms.

a = 6.093 Å, b = 6.093 Å, c = 8.618 Å
α = 90.00°, β = 90.00°, γ = 90.00°
Fractional coordinates of all 28 atoms:
Li  0.006  0.246  0.000
Li  0.246  0.994  0.250
Li  0.754  0.006  0.750
Li  0.994  0.754  0.500
Co  0.244  0.726  0.886
Co  0.254  0.511  0.235
Co  0.274  0.244  0.636
Co  0.489  0.254  0.985
Co  0.511  0.746  0.485
Co  0.726  0.756  0.136
Co  0.746  0.489  0.735
Co  0.756  0.274  0.386
O  0.255  0.473  0.010
O  0.473  0.745  0.260
O  0.527  0.255  0.760
O  0.745  0.527  0.510
F  0.005  0.759  0.258
F  0.018  0.250  0.245
F  0.235  0.506  0.490
F  0.241  0.005  0.008
F  0.250  0.982  0.495
F  0.494  0.235  0.240
F  0.506  0.765  0.740
F  0.750  0.018  0.995
F  0.759  0.995  0.508
F  0.765  0.494  0.990
F  0.982  0.750  0.745
F  0.995  0.241  0.758

=====

# 5
# Nb3CrP6O24

A relaxed Nb3CrP6O24 crystal (PBE+U, Materials Project).

Output
As for the space-group type: R3, No. 146. The total moment is 3.0 μB/cell. The value obtained for the total DFT energy (no corrections) is -0.291 hartree per atom. The crystal system is trigonal. The value obtained for the formation energy is -65.24 kcal/mol of atoms.

a = 8.972 Å, b = 8.972 Å, c = 8.972 Å
α = 58.53°, β = 58.53°, γ = 58.53°
Fractional coordinates of all 34 atoms:
Nb  0.000  0.000  0.000
Nb  0.218  0.218  0.218
Nb  0.499  0.499  0.499
Cr  0.717  0.717  0.717
P  0.101  0.825  0.400
P  0.331  0.610  0.892
P  0.400  0.101  0.825
P  0.610  0.892  0.331
P  0.825  0.400  0.101
P  0.892  0.331  0.610
O  0.070  0.295  0.440
O  0.079  0.856  0.224
O  0.142  0.992  0.361
O  0.149  0.779  0.921
O  0.224  0.079  0.856
O  0.280  0.650  0.421
O  0.295  0.440  0.070
O  0.356  0.579  0.725
O  0.361  0.142  0.992
O  0.421  0.280  0.650
O  0.440  0.070  0.295
O  0.495  0.636  0.869
O  0.574  0.936  0.799
O  0.579  0.725  0.356
O  0.636  0.869  0.495
O  0.650  0.421  0.280
O  0.725  0.356  0.579
O  0.779  0.921  0.149
O  0.799  0.574  0.936
O  0.856  0.224  0.079
O  0.869  0.495  0.636
O  0.921  0.149  0.779
O  0.936  0.799  0.574
O  0.992  0.361  0.142

=====

# 6
# Cr4AgBiO14

A relaxed Cr4AgBiO14 crystal (PBE+U, Materials Project).

Output
As for the space-group type: I4, No. 79. The total moment is 0.0 μB/cell. The value obtained for the total DFT energy (no corrections) is -0.235 hartree per atom. The crystal system is tetragonal. The value obtained for the formation energy is -35.42 kcal/mol of atoms.

a = 7.381 Å, b = 7.381 Å, c = 7.381 Å
α = 108.40°, β = 108.40°, γ = 111.63°
Fractional coordinates of all 20 atoms:
Cr  0.120  0.662  0.782
Cr  0.338  0.120  0.458
Cr  0.662  0.880  0.542
Cr  0.880  0.338  0.218
Ag  0.718  0.718  0.000
Bi  0.298  0.298  0.000
O  0.030  0.530  0.500
O  0.055  0.379  0.119
O  0.086  0.906  0.317
O  0.260  0.936  0.881
O  0.285  0.586  0.904
O  0.379  0.260  0.324
O  0.382  0.285  0.700
O  0.530  0.030  0.500
O  0.586  0.682  0.300
O  0.590  0.769  0.683
O  0.682  0.382  0.096
O  0.769  0.086  0.179
O  0.906  0.590  0.821
O  0.936  0.055  0.676

=====

# 7
# ZrMnF6

A relaxed ZrMnF6 crystal (PBE+U, Materials Project).

Output
As for the space-group type: Fm-3m, No. 225. The value obtained for the total DFT energy (no corrections) is -0.248 hartree per atom. The crystal system is cubic. The value obtained for the formation energy is -84.43 kcal/mol of atoms.

a = 5.916 Å, b = 5.916 Å, c = 5.916 Å
α = 60.00°, β = 60.00°, γ = 60.00°
Fractional coordinates of all 8 atoms:
Zr  0.000  0.000  0.000
Mn  0.500  0.500  0.500
F  0.244  0.244  0.756
F  0.244  0.756  0.244
F  0.244  0.756  0.756
F  0.756  0.244  0.244
F  0.756  0.244  0.756
F  0.756  0.756  0.244